CaSm4Tm4O12 after structural relaxation. Source: Materials Project, functional PBE.

## Properties
* formation energy from the elements: -3505 meV per atom
* total magnetization: 0.0 Bohr magnetons per cell
* total energy after the MP2020 corrections: -8.179 eV/atom
* energy above the lowest structure with this stoichiometry: 0.108 eV per atom

```
data_CaSm4Tm4O12
_cell_length_a 6.380
_cell_length_b 7.615
_cell_length_c 6.563
_cell_angle_alpha 90.00
_cell_angle_beta 93.14
_cell_angle_gamma 90.00
_symmetry_space_group_name_H-M 'P 1'
_symmetry_Int_Tables_number 1
_symmetry_space_group_name_Hall 'P 1'
loop_
_atom_site_label
_atom_site_type_symbol
_atom_site_fract_x
_atom_site_fract_y
_atom_site_fract_z
Ca1 Ca 0.000 0.000 0.000
Sm1 Sm 0.201 0.500 0.735
Sm2 Sm 0.335 0.000 0.649
Sm3 Sm 0.812 0.500 0.278
Sm4 Sm 0.833 0.000 0.422
Tm1 Tm 0.402 0.231 0.215
Tm2 Tm 0.402 0.769 0.215
Tm3 Tm 0.708 0.291 0.793
Tm4 Tm 0.708 0.709 0.793
O1 O 0.182 0.000 0.308
O2 O 0.251 0.201 0.911
O3 O 0.251 0.799 0.911
O4 O 0.453 0.281 0.546
O5 O 0.453 0.719 0.546
O6 O 0.465 0.500 0.151
O7 O 0.706 0.000 0.743
O8 O 0.734 0.201 0.140
O9 O 0.734 0.799 0.140
O10 O 0.907 0.500 0.939
O11 O 0.934 0.301 0.552
O12 O 0.934 0.699 0.552
```